No. 1
{
  "formula": "KSrPrNbO6",
  "functional": "PBE",
  "state": "optimized geometry",
  "space_group": "Pnnn, No. 48",
  "formation_energy_mev_per_atom": -2919,
  "m_tot_mub_per_fu": 1.0,
  "cell": [[-5.104, -4.289, -5.592], [-0.235, -6.767, 5.404], [-7.016, 3.322, 3.855]],
  "species": ["Nb", "Nb", "Nb", "Nb", "Sr", "Sr", "Sr", "Sr", "K", "K", "K", "K", "O", "O", "O", "O", "O", "O", "O", "O", "O", "O", "O", "O", "O", "O", "O", "O", "O", "O", "O", "O", "O", "O", "O", "O", "Pr", "Pr", "Pr", "Pr"],
  "frac_coords": [[0.750, 0.250, 0.250], [0.750, 0.750, 0.750], [0.250, 0.750, 0.250], [0.250, 0.250, 0.750], [0.000, 0.500, 0.000], [0.000, 0.000, 0.000], [0.500, 0.500, 0.500], [0.500, 0.000, 0.500], [0.000, 0.500, 0.500], [0.000, 0.000, 0.500], [0.500, 0.500, 0.000], [0.500, 0.000, 0.000], [0.481, 0.275, 0.761], [0.769, 0.520, 0.728], [0.019, 0.775, 0.261], [0.519, 0.725, 0.761], [0.981, 0.225, 0.261], [0.269, 0.980, 0.228], [0.231, 0.480, 0.728], [0.519, 0.275, 0.239], [0.019, 0.225, 0.739], [0.981, 0.775, 0.739], [0.288, 0.228, 0.519], [0.788, 0.272, 0.019], [0.712, 0.228, 0.481], [0.269, 0.020, 0.772], [0.731, 0.020, 0.228], [0.212, 0.728, 0.019], [0.481, 0.725, 0.239], [0.788, 0.728, 0.981], [0.769, 0.480, 0.272], [0.212, 0.272, 0.981], [0.712, 0.772, 0.519], [0.731, 0.980, 0.772], [0.288, 0.772, 0.481], [0.231, 0.520, 0.272], [0.250, 0.750, 0.750], [0.750, 0.750, 0.250], [0.250, 0.250, 0.250], [0.750, 0.250, 0.750]]
}


No. 2
{
  "formula": "KSrPrNbO6",
  "functional": "PBE",
  "state": "optimized geometry",
  "space_group": "F-43m, No. 216",
  "formation_energy_mev_per_atom": -2898,
  "m_tot_mub_per_fu": 1.0,
  "cell": [[-6.060, 1.087, 0.296], [-3.510, -0.730, -5.014], [-3.991, -4.687, -0.313]],
  "species": ["O", "O", "O", "O", "O", "O", "Sr", "Pr", "Nb", "K"],
  "frac_coords": [[0.231, 0.769, 0.769], [0.231, 0.231, 0.769], [0.231, 0.769, 0.231], [0.769, 0.231, 0.231], [0.769, 0.231, 0.769], [0.769, 0.769, 0.231], [0.250, 0.250, 0.250], [0.500, 0.500, 0.500], [0.000, 0.000, 0.000], [0.750, 0.750, 0.750]]
}


No. 3
{
  "formula": "KTbPrNbO6",
  "functional": "PBE",
  "state": "optimized geometry",
  "space_group": "F-43m, No. 216",
  "formation_energy_mev_per_atom": -3162,
  "m_tot_mub_per_fu": 0.0,
  "cell": [[-1.202, -1.305, -5.699], [-5.662, -0.281, -1.868], [-2.156, 4.214, -3.636]],
  "species": ["O", "O", "O", "O", "O", "O", "Nb", "Pr", "Tb", "K"],
  "frac_coords": [[0.763, 0.763, 0.237], [0.237, 0.763, 0.763], [0.763, 0.237, 0.763], [0.237, 0.237, 0.763], [0.763, 0.237, 0.237], [0.237, 0.763, 0.237], [0.000, 0.000, 0.000], [0.250, 0.250, 0.250], [0.500, 0.500, 0.500], [0.750, 0.750, 0.750]]
}


No. 4
{
  "formula": "K7NbS6O24",
  "functional": "PBE",
  "state": "optimized geometry",
  "space_group": "R-3, No. 148",
  "formation_energy_mev_per_atom": -2261,
  "m_tot_mub_per_fu": 0.0,
  "cell": [[5.466, -7.727, 0.000], [5.466, 7.727, 0.000], [-5.456, 0.000, 7.734]],
  "species": ["Nb", "S", "S", "S", "S", "S", "S", "O", "O", "O", "O", "O", "O", "O", "O", "O", "O", "O", "O", "O", "O", "O", "O", "O", "O", "O", "O", "O", "O", "O", "O", "K", "K", "K", "K", "K", "K", "K"],
  "frac_coords": [[0.000, 0.000, 0.000], [0.382, 0.032, 0.255], [0.968, 0.745, 0.618], [0.032, 0.255, 0.382], [0.745, 0.618, 0.968], [0.618, 0.968, 0.745], [0.255, 0.382, 0.032], [0.108, 0.233, 0.022], [0.022, 0.108, 0.233], [0.475, 0.787, 0.647], [0.572, 0.090, 0.834], [0.353, 0.525, 0.213], [0.639, 0.686, 0.015], [0.910, 0.166, 0.428], [0.686, 0.015, 0.639], [0.090, 0.834, 0.572], [0.647, 0.475, 0.787], [0.525, 0.213, 0.353], [0.166, 0.428, 0.910], [0.213, 0.353, 0.525], [0.834, 0.572, 0.090], [0.361, 0.314, 0.985], [0.978, 0.892, 0.767], [0.787, 0.647, 0.475], [0.314, 0.985, 0.361], [0.985, 0.361, 0.314], [0.233, 0.022, 0.108], [0.767, 0.978, 0.892], [0.428, 0.910, 0.166], [0.892, 0.767, 0.978], [0.015, 0.639, 0.686], [0.665, 0.322, 0.163], [0.335, 0.678, 0.837], [0.322, 0.163, 0.665], [0.837, 0.335, 0.678], [0.678, 0.837, 0.335], [0.500, 0.500, 0.500], [0.163, 0.665, 0.322]]
}


No. 5
{
  "formula": "K3NbS4O16",
  "functional": "PBE",
  "state": "optimized geometry",
  "space_group": "Pnma, No. 62",
  "formation_energy_mev_per_atom": -2227,
  "m_tot_mub_per_fu": 0.0,
  "cell": [[-1.212, 7.959, 1.328], [-11.930, -2.450, 3.789], [4.779, -1.609, 14.008]],
  "species": ["O", "O", "O", "O", "O", "O", "O", "O", "O", "O", "O", "O", "O", "O", "O", "O", "O", "O", "O", "O", "O", "O", "O", "O", "O", "O", "O", "O", "O", "O", "O", "O", "O", "O", "O", "O", "O", "O", "O", "O", "O", "O", "O", "O", "O", "O", "O", "O", "O", "O", "O", "O", "O", "O", "O", "O", "O", "O", "O", "O", "O", "O", "O", "O", "K", "K", "K", "K", "K", "K", "K", "K", "K", "K", "K", "K", "Nb", "Nb", "Nb", "Nb", "S", "S", "S", "S", "S", "S", "S", "S", "S", "S", "S", "S", "S", "S", "S", "S"],
  "frac_coords": [[0.617, 0.346, 0.234], [0.666, 0.011, 0.552], [0.666, 0.489, 0.552], [0.622, 0.250, 0.849], [0.356, 0.152, 0.539], [0.395, 0.250, 0.944], [0.403, 0.910, 0.005], [0.010, 0.750, 0.607], [0.834, 0.989, 0.052], [0.625, 0.654, 0.200], [0.403, 0.590, 0.005], [0.883, 0.846, 0.734], [0.334, 0.511, 0.448], [0.375, 0.346, 0.800], [0.105, 0.750, 0.444], [0.144, 0.848, 0.039], [0.356, 0.348, 0.539], [0.730, 0.485, 0.391], [0.878, 0.750, 0.349], [0.605, 0.750, 0.056], [0.378, 0.750, 0.151], [0.230, 0.485, 0.109], [0.644, 0.652, 0.461], [0.097, 0.090, 0.505], [0.644, 0.848, 0.461], [0.125, 0.654, 0.300], [0.875, 0.154, 0.700], [0.597, 0.410, 0.995], [0.856, 0.152, 0.961], [0.510, 0.750, 0.893], [0.617, 0.154, 0.234], [0.273, 0.250, 0.382], [0.875, 0.346, 0.700], [0.375, 0.154, 0.800], [0.117, 0.154, 0.266], [0.490, 0.250, 0.107], [0.903, 0.910, 0.495], [0.727, 0.750, 0.618], [0.383, 0.654, 0.766], [0.227, 0.750, 0.882], [0.270, 0.515, 0.609], [0.230, 0.015, 0.109], [0.773, 0.250, 0.118], [0.903, 0.590, 0.495], [0.383, 0.846, 0.766], [0.883, 0.654, 0.734], [0.144, 0.652, 0.039], [0.270, 0.985, 0.609], [0.122, 0.250, 0.651], [0.990, 0.250, 0.393], [0.730, 0.015, 0.391], [0.770, 0.515, 0.891], [0.097, 0.410, 0.505], [0.166, 0.011, 0.948], [0.834, 0.511, 0.052], [0.625, 0.846, 0.200], [0.856, 0.348, 0.961], [0.117, 0.346, 0.266], [0.770, 0.985, 0.891], [0.597, 0.090, 0.995], [0.895, 0.250, 0.556], [0.334, 0.989, 0.448], [0.125, 0.846, 0.300], [0.166, 0.489, 0.948], [0.392, 0.513, 0.271], [0.892, 0.987, 0.229], [0.363, 0.750, 0.569], [0.863, 0.750, 0.931], [0.608, 0.013, 0.729], [0.608, 0.487, 0.729], [0.108, 0.487, 0.771], [0.137, 0.250, 0.069], [0.392, 0.987, 0.271], [0.637, 0.250, 0.431], [0.892, 0.513, 0.229], [0.108, 0.013, 0.771], [0.149, 0.250, 0.510], [0.351, 0.750, 0.010], [0.649, 0.250, 0.990], [0.851, 0.750, 0.490], [0.569, 0.750, 0.158], [0.770, 0.045, 0.975], [0.770, 0.455, 0.975], [0.122, 0.250, 0.319], [0.270, 0.455, 0.525], [0.230, 0.955, 0.025], [0.931, 0.250, 0.658], [0.378, 0.750, 0.819], [0.069, 0.750, 0.342], [0.878, 0.750, 0.681], [0.431, 0.250, 0.842], [0.230, 0.545, 0.025], [0.622, 0.250, 0.181], [0.730, 0.545, 0.475], [0.730, 0.955, 0.475], [0.270, 0.045, 0.525]]
}


No. 6
{
  "formula": "K4Nb2S10O",
  "functional": "PBE",
  "state": "optimized geometry",
  "space_group": "Pca2_1, No. 29",
  "formation_energy_mev_per_atom": -1371,
  "m_tot_mub_per_fu": 0.0,
  "cell": [[7.682, 0.000, 0.000], [0.000, 12.937, 0.000], [0.000, 0.000, 18.153]],
  "species": ["S", "S", "S", "S", "S", "S", "S", "S", "S", "S", "S", "S", "S", "S", "S", "S", "S", "S", "S", "S", "S", "S", "S", "S", "S", "S", "S", "S", "S", "S", "S", "S", "S", "S", "S", "S", "S", "S", "S", "S", "Nb", "Nb", "Nb", "Nb", "Nb", "Nb", "Nb", "Nb", "K", "K", "K", "K", "K", "K", "K", "K", "K", "K", "K", "K", "K", "K", "K", "K", "O", "O", "O", "O"],
  "frac_coords": [[0.750, 0.070, 0.353], [0.007, 0.827, 0.360], [0.993, 0.327, 0.360], [0.026, 0.149, 0.549], [0.574, 0.742, 0.776], [0.248, 0.228, 0.690], [0.734, 0.840, 0.997], [0.250, 0.930, 0.853], [0.423, 0.936, 0.116], [0.993, 0.173, 0.860], [0.410, 0.456, 0.398], [0.750, 0.430, 0.853], [0.734, 0.660, 0.497], [0.752, 0.772, 0.190], [0.462, 0.989, 0.706], [0.007, 0.673, 0.860], [0.426, 0.258, 0.276], [0.426, 0.242, 0.776], [0.248, 0.272, 0.190], [0.974, 0.851, 0.049], [0.538, 0.011, 0.206], [0.752, 0.728, 0.690], [0.577, 0.064, 0.616], [0.538, 0.489, 0.706], [0.590, 0.544, 0.898], [0.574, 0.758, 0.276], [0.026, 0.351, 0.049], [0.974, 0.649, 0.549], [0.266, 0.340, 0.997], [0.030, 0.496, 0.202], [0.410, 0.044, 0.898], [0.266, 0.160, 0.497], [0.250, 0.570, 0.353], [0.970, 0.996, 0.202], [0.423, 0.564, 0.616], [0.462, 0.511, 0.206], [0.577, 0.436, 0.116], [0.590, 0.956, 0.398], [0.970, 0.504, 0.702], [0.030, 0.004, 0.702], [0.214, 0.398, 0.294], [0.786, 0.602, 0.794], [0.258, 0.463, 0.105], [0.214, 0.102, 0.794], [0.742, 0.963, 0.105], [0.786, 0.898, 0.294], [0.742, 0.537, 0.605], [0.258, 0.037, 0.605], [0.211, 0.440, 0.835], [0.789, 0.940, 0.835], [0.144, 0.402, 0.536], [0.186, 0.740, 0.200], [0.186, 0.760, 0.700], [0.144, 0.098, 0.036], [0.332, 0.735, 0.968], [0.211, 0.060, 0.335], [0.668, 0.265, 0.468], [0.856, 0.902, 0.536], [0.856, 0.598, 0.036], [0.814, 0.240, 0.200], [0.668, 0.235, 0.968], [0.814, 0.260, 0.700], [0.332, 0.765, 0.468], [0.789, 0.560, 0.335], [0.228, 0.584, 0.057], [0.772, 0.416, 0.557], [0.228, 0.916, 0.557], [0.772, 0.084, 0.057]]
}


No. 7
{
  "formula": "K4Nb2Se11O",
  "functional": "PBE",
  "state": "optimized geometry",
  "space_group": "Pbca, No. 61",
  "formation_energy_mev_per_atom": -974,
  "m_tot_mub_per_fu": 0.0,
  "cell": [[-4.290, 10.710, -8.162], [-0.678, -10.100, -12.898], [-18.070, -4.079, 4.144]],
  "species": ["K", "K", "K", "K", "K", "K", "K", "K", "K", "K", "K", "K", "K", "K", "K", "K", "K", "K", "K", "K", "K", "K", "K", "K", "K", "K", "K", "K", "K", "K", "K", "K", "Se", "Se", "Se", "Se", "Se", "Se", "Se", "Se", "Se", "Se", "Se", "Se", "Se", "Se", "Se", "Se", "Se", "Se", "Se", "Se", "Se", "Se", "Se", "Se", "Se", "Se", "Se", "Se", "Se", "Se", "Se", "Se", "Se", "Se", "Se", "Se", "Se", "Se", "Se", "Se", "Se", "Se", "Se", "Se", "Se", "Se", "Se", "Se", "Se", "Se", "Se", "Se", "Se", "Se", "Se", "Se", "Se", "Se", "Se", "Se", "Se", "Se", "Se", "Se", "Se", "Se", "Se", "Se", "Se", "Se", "Se", "Se", "Se", "Se", "Se", "Se", "Se", "Se", "Se", "Se", "Se", "Se", "Se", "Se", "Se", "Se", "Se", "Se", "O", "O", "O", "O", "O", "O", "O", "O", "Nb", "Nb", "Nb", "Nb", "Nb", "Nb", "Nb", "Nb", "Nb", "Nb", "Nb", "Nb", "Nb", "Nb", "Nb", "Nb"],
  "frac_coords": [[0.904, 0.916, 0.377], [0.765, 0.593, 0.304], [0.404, 0.584, 0.377], [0.904, 0.416, 0.123], [0.978, 0.874, 0.096], [0.522, 0.374, 0.904], [0.247, 0.325, 0.953], [0.522, 0.874, 0.596], [0.735, 0.593, 0.804], [0.235, 0.407, 0.696], [0.265, 0.907, 0.304], [0.753, 0.175, 0.453], [0.404, 0.084, 0.123], [0.735, 0.093, 0.696], [0.022, 0.626, 0.596], [0.096, 0.084, 0.623], [0.753, 0.675, 0.047], [0.478, 0.626, 0.096], [0.747, 0.175, 0.953], [0.253, 0.325, 0.453], [0.096, 0.584, 0.877], [0.596, 0.416, 0.623], [0.247, 0.825, 0.547], [0.596, 0.916, 0.877], [0.478, 0.126, 0.404], [0.235, 0.907, 0.804], [0.265, 0.407, 0.196], [0.978, 0.374, 0.404], [0.747, 0.675, 0.547], [0.022, 0.126, 0.904], [0.253, 0.825, 0.047], [0.765, 0.093, 0.196], [0.832, 0.512, 0.645], [0.332, 0.488, 0.855], [0.301, 0.650, 0.971], [0.010, 0.777, 0.778], [0.168, 0.988, 0.145], [0.832, 0.012, 0.855], [0.732, 0.974, 0.024], [0.581, 0.430, 0.434], [0.933, 0.095, 0.064], [0.567, 0.095, 0.564], [0.732, 0.474, 0.476], [0.925, 0.138, 0.327], [0.575, 0.138, 0.827], [0.419, 0.070, 0.934], [0.947, 0.478, 0.736], [0.404, 0.781, 0.886], [0.904, 0.719, 0.886], [0.096, 0.781, 0.386], [0.425, 0.862, 0.173], [0.801, 0.350, 0.529], [0.225, 0.196, 0.219], [0.775, 0.304, 0.719], [0.567, 0.595, 0.936], [0.075, 0.362, 0.827], [0.581, 0.930, 0.066], [0.919, 0.430, 0.934], [0.275, 0.196, 0.719], [0.081, 0.570, 0.066], [0.268, 0.026, 0.976], [0.775, 0.804, 0.781], [0.699, 0.850, 0.471], [0.699, 0.350, 0.029], [0.404, 0.281, 0.614], [0.433, 0.405, 0.064], [0.575, 0.638, 0.673], [0.723, 0.388, 0.817], [0.990, 0.723, 0.278], [0.081, 0.070, 0.434], [0.168, 0.488, 0.355], [0.232, 0.526, 0.024], [0.053, 0.022, 0.236], [0.067, 0.405, 0.564], [0.275, 0.696, 0.781], [0.447, 0.522, 0.764], [0.768, 0.474, 0.976], [0.919, 0.930, 0.566], [0.425, 0.362, 0.327], [0.668, 0.012, 0.355], [0.053, 0.522, 0.264], [0.990, 0.223, 0.222], [0.199, 0.650, 0.471], [0.553, 0.978, 0.264], [0.223, 0.112, 0.817], [0.490, 0.777, 0.278], [0.096, 0.281, 0.114], [0.223, 0.612, 0.683], [0.801, 0.850, 0.971], [0.510, 0.223, 0.722], [0.301, 0.150, 0.529], [0.510, 0.723, 0.778], [0.332, 0.988, 0.645], [0.596, 0.719, 0.386], [0.225, 0.696, 0.281], [0.277, 0.112, 0.317], [0.447, 0.022, 0.736], [0.725, 0.304, 0.219], [0.075, 0.862, 0.673], [0.668, 0.512, 0.145], [0.723, 0.888, 0.683], [0.268, 0.526, 0.524], [0.904, 0.219, 0.614], [0.490, 0.277, 0.222], [0.199, 0.150, 0.029], [0.010, 0.277, 0.722], [0.419, 0.570, 0.566], [0.933, 0.595, 0.436], [0.232, 0.026, 0.476], [0.768, 0.974, 0.524], [0.925, 0.638, 0.173], [0.067, 0.905, 0.936], [0.777, 0.388, 0.317], [0.725, 0.804, 0.281], [0.553, 0.478, 0.236], [0.596, 0.219, 0.114], [0.433, 0.905, 0.436], [0.947, 0.978, 0.764], [0.777, 0.888, 0.183], [0.277, 0.612, 0.183], [0.616, 0.235, 0.373], [0.884, 0.735, 0.627], [0.616, 0.735, 0.127], [0.884, 0.235, 0.873], [0.116, 0.765, 0.127], [0.384, 0.765, 0.627], [0.384, 0.265, 0.873], [0.116, 0.265, 0.373], [0.893, 0.828, 0.676], [0.575, 0.377, 0.129], [0.393, 0.172, 0.824], [0.075, 0.123, 0.129], [0.107, 0.672, 0.176], [0.607, 0.328, 0.324], [0.925, 0.377, 0.629], [0.425, 0.623, 0.871], [0.925, 0.877, 0.871], [0.575, 0.877, 0.371], [0.893, 0.328, 0.824], [0.393, 0.672, 0.676], [0.075, 0.623, 0.371], [0.607, 0.828, 0.176], [0.425, 0.123, 0.629], [0.107, 0.172, 0.324]]
}


Copy entry 3 word for word.
{
  "formula": "KTbPrNbO6",
  "functional": "PBE",
  "state": "optimized geometry",
  "space_group": "F-43m, No. 216",
  "formation_energy_mev_per_atom": -3162,
  "m_tot_mub_per_fu": 0.0,
  "cell": [[-1.202, -1.305, -5.699], [-5.662, -0.281, -1.868], [-2.156, 4.214, -3.636]],
  "species": ["O", "O", "O", "O", "O", "O", "Nb", "Pr", "Tb", "K"],
  "frac_coords": [[0.763, 0.763, 0.237], [0.237, 0.763, 0.763], [0.763, 0.237, 0.763], [0.237, 0.237, 0.763], [0.763, 0.237, 0.237], [0.237, 0.763, 0.237], [0.000, 0.000, 0.000], [0.250, 0.250, 0.250], [0.500, 0.500, 0.500], [0.750, 0.750, 0.750]]
}


What did the second record say?
{
  "formula": "KSrPrNbO6",
  "functional": "PBE",
  "state": "optimized geometry",
  "space_group": "F-43m, No. 216",
  "formation_energy_mev_per_atom": -2898,
  "m_tot_mub_per_fu": 1.0,
  "cell": [[-6.060, 1.087, 0.296], [-3.510, -0.730, -5.014], [-3.991, -4.687, -0.313]],
  "species": ["O", "O", "O", "O", "O", "O", "Sr", "Pr", "Nb", "K"],
  "frac_coords": [[0.231, 0.769, 0.769], [0.231, 0.231, 0.769], [0.231, 0.769, 0.231], [0.769, 0.231, 0.231], [0.769, 0.231, 0.769], [0.769, 0.769, 0.231], [0.250, 0.250, 0.250], [0.500, 0.500, 0.500], [0.000, 0.000, 0.000], [0.750, 0.750, 0.750]]
}